(1)
{
  "formula": "KFeO2",
  "functional": "r2SCAN",
  "state": "relaxed",
  "magmom_total_mub_per_atom": 1.250,
  "final_energy_ry_per_atom": -0.7137,
  "lattice_angstrom": [[6.584, -0.355, -0.065], [-5.657, 3.388, 0.065], [-4.796, 1.466, 6.539]],
  "species": ["Fe", "Fe", "O", "O", "O", "O", "K", "K"],
  "frac_coords": [[0.024, 0.976, 0.182], [0.976, 0.024, 0.818], [0.131, 0.869, 0.096], [0.869, 0.131, 0.904], [0.463, 0.537, 0.676], [0.537, 0.463, 0.324], [0.832, 0.168, 0.314], [0.168, 0.832, 0.686]]
}

***

(2)
{
  "formula": "K14Fe4O13",
  "functional": "r2SCAN",
  "state": "relaxed",
  "magmom_total_mub_per_atom": 0.645,
  "final_energy_ry_per_atom": -0.6375,
  "lattice_angstrom": [[-23.196, 0.301, -18.488], [2.936, -4.660, -3.760], [-1.142, -6.436, 1.328]],
  "species": ["K", "K", "K", "K", "K", "K", "K", "K", "K", "K", "K", "K", "K", "K", "K", "K", "K", "K", "K", "K", "K", "K", "K", "K", "K", "K", "K", "K", "Fe", "Fe", "Fe", "Fe", "Fe", "Fe", "Fe", "Fe", "O", "O", "O", "O", "O", "O", "O", "O", "O", "O", "O", "O", "O", "O", "O", "O", "O", "O", "O", "O", "O", "O", "O", "O", "O", "O"],
  "frac_coords": [[0.550, 0.851, 0.997], [0.151, 0.869, 0.498], [0.781, 0.280, 0.947], [0.849, 0.131, 0.502], [0.614, 0.716, 0.545], [0.501, 0.728, 0.543], [0.999, 0.728, 0.043], [0.888, 0.260, 0.954], [0.114, 0.284, 0.955], [0.229, 0.273, 0.943], [0.112, 0.740, 0.046], [0.886, 0.716, 0.045], [0.219, 0.720, 0.053], [0.719, 0.280, 0.447], [0.050, 0.149, 0.503], [0.271, 0.273, 0.443], [0.386, 0.284, 0.455], [0.388, 0.740, 0.546], [0.001, 0.272, 0.957], [0.281, 0.720, 0.553], [0.771, 0.727, 0.057], [0.499, 0.272, 0.457], [0.349, 0.869, 0.998], [0.450, 0.149, 0.003], [0.651, 0.131, 0.002], [0.612, 0.260, 0.454], [0.950, 0.851, 0.497], [0.729, 0.727, 0.557], [0.445, 0.657, 0.000], [0.836, 0.650, 0.499], [0.055, 0.657, 0.500], [0.555, 0.343, 0.000], [0.664, 0.650, 0.999], [0.336, 0.350, 0.001], [0.945, 0.343, 0.500], [0.164, 0.350, 0.501], [0.057, 0.942, 0.234], [0.396, 0.473, 0.998], [0.207, 0.560, 0.501], [0.328, 0.328, 0.733], [0.604, 0.527, 0.002], [0.500, 0.500, 0.000], [0.793, 0.440, 0.499], [0.330, 0.068, 0.271], [0.943, 0.323, 0.231], [0.293, 0.560, 0.001], [0.443, 0.942, 0.734], [0.707, 0.440, 0.999], [0.172, 0.328, 0.233], [0.057, 0.677, 0.769], [0.104, 0.473, 0.498], [0.557, 0.323, 0.731], [0.670, 0.932, 0.729], [0.943, 0.058, 0.766], [0.000, 0.500, 0.500], [0.896, 0.527, 0.502], [0.672, 0.672, 0.267], [0.557, 0.058, 0.266], [0.830, 0.932, 0.229], [0.828, 0.672, 0.767], [0.443, 0.677, 0.269], [0.170, 0.068, 0.771]]
}

***

(3)
{
  "formula": "KFeO2",
  "functional": "r2SCAN",
  "state": "relaxed",
  "magmom_total_mub_per_atom": 1.250,
  "final_energy_ry_per_atom": -0.7203,
  "lattice_angstrom": [[-1.136, -0.886, -5.395], [4.446, -10.217, 0.743], [-14.386, -5.968, 4.009]],
  "species": ["K", "K", "K", "K", "K", "K", "K", "K", "K", "K", "K", "K", "K", "K", "K", "K", "Fe", "Fe", "Fe", "Fe", "Fe", "Fe", "Fe", "Fe", "Fe", "Fe", "Fe", "Fe", "Fe", "Fe", "Fe", "Fe", "O", "O", "O", "O", "O", "O", "O", "O", "O", "O", "O", "O", "O", "O", "O", "O", "O", "O", "O", "O", "O", "O", "O", "O", "O", "O", "O", "O", "O", "O", "O", "O"],
  "frac_coords": [[0.245, 0.517, 0.437], [0.745, 0.517, 0.063], [0.745, 0.983, 0.563], [0.255, 0.483, 0.937], [0.312, 0.232, 0.817], [0.755, 0.483, 0.563], [0.755, 0.017, 0.063], [0.812, 0.268, 0.183], [0.812, 0.232, 0.683], [0.688, 0.732, 0.683], [0.188, 0.732, 0.817], [0.245, 0.983, 0.937], [0.688, 0.768, 0.183], [0.188, 0.768, 0.317], [0.312, 0.268, 0.317], [0.255, 0.017, 0.437], [0.706, 0.735, 0.936], [0.755, 0.491, 0.811], [0.706, 0.765, 0.436], [0.255, 0.491, 0.689], [0.245, 0.991, 0.689], [0.745, 0.991, 0.811], [0.794, 0.235, 0.936], [0.206, 0.765, 0.064], [0.206, 0.735, 0.564], [0.245, 0.509, 0.189], [0.255, 0.009, 0.189], [0.294, 0.265, 0.064], [0.294, 0.235, 0.564], [0.755, 0.009, 0.311], [0.745, 0.509, 0.311], [0.794, 0.265, 0.436], [0.813, 0.330, 0.839], [0.398, 0.798, 0.479], [0.187, 0.670, 0.161], [0.102, 0.202, 0.979], [0.843, 0.587, 0.903], [0.843, 0.913, 0.403], [0.068, 0.474, 0.286], [0.898, 0.798, 0.021], [0.102, 0.298, 0.479], [0.657, 0.087, 0.903], [0.932, 0.974, 0.214], [0.343, 0.587, 0.597], [0.568, 0.026, 0.714], [0.068, 0.026, 0.786], [0.343, 0.913, 0.097], [0.398, 0.702, 0.979], [0.313, 0.330, 0.661], [0.932, 0.526, 0.714], [0.813, 0.170, 0.339], [0.602, 0.298, 0.021], [0.432, 0.974, 0.286], [0.157, 0.087, 0.597], [0.657, 0.413, 0.403], [0.187, 0.830, 0.661], [0.157, 0.413, 0.097], [0.687, 0.830, 0.839], [0.568, 0.474, 0.214], [0.313, 0.170, 0.161], [0.432, 0.526, 0.786], [0.898, 0.702, 0.521], [0.687, 0.670, 0.339], [0.602, 0.202, 0.521]]
}

***

(4)
{
  "formula": "K6Fe2O5",
  "functional": "r2SCAN",
  "state": "relaxed",
  "magmom_total_mub_per_atom": 0.615,
  "final_energy_ry_per_atom": -0.6430,
  "lattice_angstrom": [[6.637, 0.027, 0.045], [-0.276, 6.609, 0.044], [-0.275, -3.048, 5.864]],
  "species": ["Fe", "Fe", "K", "K", "K", "K", "K", "K", "O", "O", "O", "O", "O"],
  "frac_coords": [[0.332, 0.794, 0.794], [0.692, 0.190, 0.190], [0.501, 0.244, 0.758], [0.832, 0.643, 0.643], [0.993, 0.792, 0.204], [0.993, 0.204, 0.792], [0.171, 0.361, 0.361], [0.501, 0.758, 0.244], [0.592, 0.927, 0.927], [0.219, 0.562, 0.841], [0.772, 0.446, 0.165], [0.772, 0.165, 0.446], [0.219, 0.841, 0.562]]
}

***

(5)
{
  "formula": "KFeS2",
  "functional": "r2SCAN",
  "state": "relaxed",
  "magmom_total_mub_per_atom": 0.750,
  "final_energy_ry_per_atom": -0.7358,
  "lattice_angstrom": [[5.507, 3.536, -0.007], [-5.507, 3.536, -0.007], [0.000, 2.038, 4.957]],
  "species": ["S", "S", "S", "S", "Fe", "Fe", "K", "K"],
  "frac_coords": [[0.910, 0.696, 0.108], [0.304, 0.090, 0.392], [0.090, 0.304, 0.892], [0.696, 0.910, 0.608], [0.994, 0.006, 0.250], [0.006, 0.994, 0.750], [0.359, 0.641, 0.250], [0.641, 0.359, 0.750]]
}

***

(6)
{
  "formula": "KFe2S2",
  "functional": "r2SCAN",
  "state": "relaxed",
  "magmom_total_mub_per_atom": 0.000,
  "final_energy_ry_per_atom": -0.7906,
  "lattice_angstrom": [[-1.823, 1.823, 6.325], [1.823, -1.823, 6.325], [1.823, 1.823, -6.325]],
  "species": ["K", "S", "S", "Fe", "Fe"],
  "frac_coords": [[0.000, 0.000, 0.000], [0.342, 0.342, 0.000], [0.658, 0.658, 0.000], [0.750, 0.250, 0.500], [0.250, 0.750, 0.500]]
}

***

(7)
{
  "formula": "K9Fe2S7",
  "functional": "r2SCAN",
  "state": "relaxed",
  "magmom_total_mub_per_atom": 0.500,
  "final_energy_ry_per_atom": -0.6572,
  "lattice_angstrom": [[12.651, 0.000, 0.000], [0.000, 12.651, 0.000], [0.000, 0.000, 12.651]],
  "species": ["Fe", "Fe", "Fe", "Fe", "Fe", "Fe", "Fe", "Fe", "K", "K", "K", "K", "K", "K", "K", "K", "K", "K", "K", "K", "K", "K", "K", "K", "K", "K", "K", "K", "K", "K", "K", "K", "K", "K", "K", "K", "K", "K", "K", "K", "K", "K", "K", "K", "S", "S", "S", "S", "S", "S", "S", "S", "S", "S", "S", "S", "S", "S", "S", "S", "S", "S", "S", "S", "S", "S", "S", "S", "S", "S", "S", "S"],
  "frac_coords": [[0.100, 0.400, 0.600], [0.429, 0.071, 0.929], [0.600, 0.100, 0.400], [0.900, 0.900, 0.900], [0.071, 0.929, 0.429], [0.400, 0.600, 0.100], [0.929, 0.429, 0.071], [0.571, 0.571, 0.571], [0.708, 0.823, 0.542], [0.042, 0.792, 0.177], [0.700, 0.333, 0.499], [0.792, 0.177, 0.042], [0.001, 0.300, 0.833], [0.300, 0.833, 0.001], [0.677, 0.458, 0.208], [0.059, 0.059, 0.059], [0.200, 0.167, 0.501], [0.167, 0.501, 0.200], [0.542, 0.708, 0.823], [0.441, 0.941, 0.559], [0.941, 0.559, 0.441], [0.415, 0.415, 0.415], [0.292, 0.323, 0.958], [0.833, 0.001, 0.300], [0.177, 0.042, 0.792], [0.559, 0.441, 0.941], [0.739, 0.261, 0.761], [0.323, 0.958, 0.292], [0.501, 0.200, 0.167], [0.915, 0.085, 0.585], [0.208, 0.677, 0.458], [0.585, 0.915, 0.085], [0.667, 0.999, 0.800], [0.333, 0.499, 0.700], [0.800, 0.667, 0.999], [0.999, 0.800, 0.667], [0.085, 0.585, 0.915], [0.239, 0.239, 0.239], [0.261, 0.761, 0.739], [0.823, 0.542, 0.708], [0.761, 0.739, 0.261], [0.499, 0.700, 0.333], [0.458, 0.208, 0.677], [0.958, 0.292, 0.323], [0.431, 0.165, 0.412], [0.576, 0.440, 0.689], [0.311, 0.076, 0.060], [0.707, 0.207, 0.293], [0.689, 0.576, 0.440], [0.165, 0.412, 0.431], [0.924, 0.560, 0.189], [0.560, 0.189, 0.924], [0.060, 0.311, 0.076], [0.424, 0.940, 0.811], [0.940, 0.811, 0.424], [0.835, 0.912, 0.069], [0.335, 0.588, 0.931], [0.793, 0.793, 0.793], [0.912, 0.069, 0.835], [0.207, 0.293, 0.707], [0.088, 0.569, 0.665], [0.069, 0.835, 0.912], [0.665, 0.088, 0.569], [0.293, 0.707, 0.207], [0.588, 0.931, 0.335], [0.412, 0.431, 0.165], [0.440, 0.689, 0.576], [0.189, 0.924, 0.560], [0.569, 0.665, 0.088], [0.931, 0.335, 0.588], [0.076, 0.060, 0.311], [0.811, 0.424, 0.940]]
}

***

(8)
{
  "formula": "KFe4Sb12",
  "functional": "r2SCAN",
  "state": "relaxed",
  "magmom_total_mub_per_atom": 0.176,
  "final_energy_ry_per_atom": -1.6101,
  "lattice_angstrom": [[7.847, -1.400, 0.093], [-1.439, 7.261, 2.959], [-3.727, -5.467, 4.446]],
  "species": ["Sb", "Sb", "Sb", "Sb", "Sb", "Sb", "Sb", "Sb", "Sb", "Sb", "Sb", "Sb", "Fe", "Fe", "Fe", "Fe", "K"],
  "frac_coords": [[0.840, 0.338, 0.178], [0.338, 0.178, 0.840], [0.662, 0.502, 0.840], [0.160, 0.338, 0.498], [0.338, 0.498, 0.160], [0.502, 0.840, 0.662], [0.662, 0.822, 0.160], [0.822, 0.160, 0.662], [0.840, 0.662, 0.502], [0.178, 0.840, 0.338], [0.498, 0.160, 0.338], [0.160, 0.662, 0.822], [0.000, 0.500, 0.000], [0.000, 0.000, 0.500], [0.500, 0.500, 0.500], [0.500, 0.000, 0.000], [0.000, 0.000, 0.000]]
}